1.
The following is a DFT calculation (meta-GGA r2SCAN) of a relaxed NbO crystal.

Cell: 4.250 4.250 4.250 Å, 90.00 90.00 90.00°
Fractional positions:
Nb 0.000 0.000 0.500
Nb 0.000 0.500 0.000
Nb 0.500 0.000 0.000
O 0.000 0.500 0.500
O 0.500 0.000 0.500
O 0.500 0.500 0.000

Calculated values
The formation energy comes out at -2.119 eV per atom. The value obtained for the density is 7.07 Mg/m³. As for the space group: No. 221. As for the calculated total energy: -104.83 eV per cell.



2.
The following is a DFT calculation (meta-GGA r2SCAN) of a relaxed TiNbRu2 crystal.

Cell: 4.420 4.420 4.420 Å, 60.00 60.00 60.00°
Fractional positions:
Ti 0.000 0.000 0.000
Nb 0.500 0.500 0.500
Ru 0.250 0.250 0.250
Ru 0.750 0.750 0.750

Calculated values
The formation energy comes out at -0.505 eV per atom. The value obtained for the density is 9.33 Mg/m³. As for the space group: No. 225. As for the calculated total energy: -90.54 eV per cell.



3.
The following is a DFT calculation (meta-GGA r2SCAN) of a relaxed SmDyNi2 crystal.

Cell: 4.227 5.440 5.440 Å, 40.25 90.00 90.00°
Fractional positions:
Sm 0.000 0.000 0.000
Dy 0.500 0.277 0.277
Ni 0.000 0.713 0.713
Ni 0.500 0.571 0.571

Calculated values
The formation energy comes out at -0.370 eV per atom. The value obtained for the density is 8.84 Mg/m³. As for the space group: No. 38. As for the calculated total energy: -87.16 eV per cell.



4.
The following is a DFT calculation (meta-GGA r2SCAN) of a relaxed RbEuS2 crystal.

Cell: 7.955 7.955 7.955 Å, 30.85 30.85 30.85°
Fractional positions:
Rb 0.000 0.000 0.000
Eu 0.500 0.500 0.500
S 0.231 0.231 0.231
S 0.769 0.769 0.769

Calculated values
The formation energy comes out at -1.774 eV per atom. The value obtained for the density is 4.27 Mg/m³. As for the space group: No. 166. As for the calculated total energy: -75.62 eV per cell.



5.
The following is a DFT calculation (meta-GGA r2SCAN) of a relaxed ZnPPt5 crystal.

Cell: 3.892 3.892 6.944 Å, 90.00 90.00 90.00°
Fractional positions:
Zn 0.000 0.000 0.000
P 0.500 0.500 0.500
Pt 0.000 0.500 0.291
Pt 0.000 0.500 0.709
Pt 0.500 0.000 0.291
Pt 0.500 0.000 0.709
Pt 0.500 0.500 0.000

Calculated values
The formation energy comes out at -0.468 eV per atom. The value obtained for the density is 16.92 Mg/m³. As for the space group: No. 123. As for the calculated total energy: -278.63 eV per cell.



6.
The following is a DFT calculation (meta-GGA r2SCAN) of a relaxed Ti8O13 crystal.

Cell: 6.461 6.461 6.461 Å, 73.61 73.61 73.61°
Fractional positions:
Ti 0.186 0.442 0.624
Ti 0.223 0.223 0.223
Ti 0.376 0.814 0.558
Ti 0.442 0.624 0.186
Ti 0.558 0.376 0.814
Ti 0.624 0.186 0.442
Ti 0.777 0.777 0.777
Ti 0.814 0.558 0.376
O 0.080 0.757 0.672
O 0.143 0.540 0.298
O 0.243 0.328 0.920
O 0.298 0.143 0.540
O 0.328 0.920 0.243
O 0.460 0.702 0.857
O 0.500 0.500 0.500
O 0.540 0.298 0.143
O 0.672 0.080 0.757
O 0.702 0.857 0.460
O 0.757 0.672 0.080
O 0.857 0.460 0.702
O 0.920 0.243 0.328

Calculated values
The formation energy comes out at -3.175 eV per atom. The value obtained for the density is 4.05 Mg/m³. As for the space group: No. 148. As for the calculated total energy: -247.81 eV per cell.



7.
The following is a DFT calculation (meta-GGA r2SCAN) of a relaxed Pr3Se3N crystal.

Cell: 12.927 4.169 13.625 Å, 90.00 90.00 90.00°
Fractional positions:
Pr 0.040 0.250 0.153
Pr 0.074 0.250 0.631
Pr 0.212 0.250 0.864
Pr 0.288 0.750 0.364
Pr 0.426 0.750 0.131
Pr 0.460 0.750 0.653
Pr 0.540 0.250 0.347
Pr 0.574 0.250 0.869
Pr 0.712 0.250 0.636
Pr 0.788 0.750 0.136
Pr 0.926 0.750 0.369
Pr 0.960 0.750 0.847
Se 0.090 0.250 0.392
Se 0.133 0.750 0.998
Se 0.227 0.750 0.693
Se 0.273 0.250 0.193
Se 0.367 0.250 0.498
Se 0.410 0.750 0.892
Se 0.590 0.250 0.108
Se 0.633 0.750 0.502
Se 0.727 0.750 0.807
Se 0.773 0.250 0.307
Se 0.867 0.250 0.002
Se 0.910 0.750 0.608
N 0.044 0.250 0.797
N 0.456 0.750 0.297
N 0.544 0.250 0.703
N 0.956 0.750 0.203

Calculated values
The formation energy comes out at -2.084 eV per atom. The value obtained for the density is 6.09 Mg/m³. As for the space group: No. 62. As for the calculated total energy: -619.44 eV per cell.



8.
The following is a DFT calculation (meta-GGA r2SCAN) of a relaxed NaHS crystal.

Cell: 3.926 3.926 3.926 Å, 68.58 68.58 68.58°
Fractional positions:
Na 0.000 0.000 0.000
H 0.359 0.359 0.359
S 0.509 0.509 0.509

Calculated values
The formation energy comes out at -0.808 eV per atom. The value obtained for the density is 1.84 Mg/m³. As for the space group: No. 160. As for the calculated total energy: -17.48 eV per cell.



9.
The following is a DFT calculation (meta-GGA r2SCAN) of a relaxed TbTlMo2O8 crystal.

Cell: 5.081 18.723 8.014 Å, 90.00 90.00 90.00°
Fractional positions:
Tb 0.000 0.006 0.250
Tb 0.000 0.994 0.750
Tb 0.500 0.494 0.750
Tb 0.500 0.506 0.250
Tl 0.000 0.229 0.750
Tl 0.000 0.771 0.250
Tl 0.500 0.271 0.250
Tl 0.500 0.729 0.750
Mo 0.020 0.401 0.017
Mo 0.020 0.599 0.517
Mo 0.480 0.099 0.517
Mo 0.480 0.901 0.017
Mo 0.520 0.099 0.983
Mo 0.520 0.901 0.483
Mo 0.980 0.401 0.483
Mo 0.980 0.599 0.983
O 0.105 0.315 0.476
O 0.105 0.685 0.976
O 0.229 0.403 0.841
O 0.229 0.597 0.341
O 0.240 0.410 0.190
O 0.240 0.590 0.690
O 0.250 0.035 0.005
O 0.250 0.465 0.505
O 0.250 0.535 0.005
O 0.250 0.965 0.505
O 0.260 0.090 0.690
O 0.260 0.910 0.190
O 0.271 0.097 0.341
O 0.271 0.903 0.841
O 0.395 0.185 0.976
O 0.395 0.815 0.476
O 0.605 0.185 0.524
O 0.605 0.815 0.024
O 0.729 0.097 0.159
O 0.729 0.903 0.659
O 0.740 0.090 0.810
O 0.740 0.910 0.310
O 0.750 0.035 0.495
O 0.750 0.465 0.995
O 0.750 0.535 0.495
O 0.750 0.965 0.995
O 0.760 0.410 0.310
O 0.760 0.590 0.810
O 0.771 0.403 0.659
O 0.771 0.597 0.159
O 0.895 0.315 0.024
O 0.895 0.685 0.524

Calculated values
The formation energy comes out at -2.482 eV per atom. The value obtained for the density is 5.95 Mg/m³. As for the space group: No. 60. As for the calculated total energy: -856.48 eV per cell.



10.
The following is a DFT calculation (meta-GGA r2SCAN) of a relaxed TaNi3 crystal.

Cell: 4.207 5.067 4.508 Å, 90.00 90.00 90.00°
Fractional positions:
Ta 0.250 0.250 0.150
Ta 0.750 0.750 0.850
Ni 0.250 0.001 0.658
Ni 0.250 0.499 0.658
Ni 0.250 0.750 0.182
Ni 0.750 0.250 0.818
Ni 0.750 0.501 0.342
Ni 0.750 0.999 0.342

Calculated values
The formation energy comes out at -0.323 eV per atom. The value obtained for the density is 12.34 Mg/m³. As for the space group: No. 59. As for the calculated total energy: -171.66 eV per cell.



11.
The following is a DFT calculation (meta-GGA r2SCAN) of a relaxed Be2BHO4 crystal.

Cell: 4.431 9.731 12.124 Å, 90.00 90.00 90.00°
Fractional positions:
Be 0.222 0.235 0.068
Be 0.222 0.265 0.568
Be 0.240 0.000 0.189
Be 0.240 0.500 0.689
Be 0.260 0.000 0.689
Be 0.260 0.500 0.189
Be 0.278 0.735 0.068
Be 0.278 0.765 0.568
Be 0.722 0.235 0.432
Be 0.722 0.265 0.932
Be 0.740 0.000 0.311
Be 0.740 0.500 0.811
Be 0.760 0.000 0.811
Be 0.760 0.500 0.311
Be 0.778 0.735 0.432
Be 0.778 0.765 0.932
B 0.226 0.105 0.394
B 0.226 0.395 0.894
B 0.274 0.605 0.394
B 0.274 0.895 0.894
B 0.726 0.105 0.106
B 0.726 0.395 0.606
B 0.774 0.605 0.106
B 0.774 0.895 0.606
H 0.037 0.188 0.725
H 0.037 0.312 0.225
H 0.463 0.688 0.725
H 0.463 0.812 0.225
H 0.537 0.188 0.775
H 0.537 0.312 0.275
H 0.963 0.688 0.775
H 0.963 0.812 0.275
O 0.083 0.598 0.102
O 0.083 0.902 0.602
O 0.118 0.686 0.466
O 0.118 0.814 0.966
O 0.119 0.536 0.313
O 0.119 0.964 0.813
O 0.204 0.164 0.676
O 0.204 0.336 0.176
O 0.296 0.664 0.676
O 0.296 0.836 0.176
O 0.381 0.036 0.313
O 0.381 0.464 0.813
O 0.382 0.186 0.466
O 0.382 0.314 0.966
O 0.417 0.098 0.102
O 0.417 0.402 0.602
O 0.583 0.598 0.398
O 0.583 0.902 0.898
O 0.618 0.686 0.034
O 0.618 0.814 0.534
O 0.619 0.536 0.187
O 0.619 0.964 0.687
O 0.704 0.164 0.824
O 0.704 0.336 0.324
O 0.796 0.664 0.824
O 0.796 0.836 0.324
O 0.881 0.036 0.187
O 0.881 0.464 0.687
O 0.882 0.186 0.034
O 0.882 0.314 0.534
O 0.917 0.098 0.398
O 0.917 0.402 0.898

Calculated values
The formation energy comes out at -2.552 eV per atom. The value obtained for the density is 2.38 Mg/m³. As for the space group: No. 61. As for the calculated total energy: -510.29 eV per cell.



12.
The following is a DFT calculation (meta-GGA r2SCAN) of a relaxed Li2AcTl crystal.

Cell: 5.165 5.165 5.165 Å, 60.00 60.00 60.00°
Fractional positions:
Li 0.250 0.250 0.250
Li 0.750 0.750 0.750
Ac 0.000 0.000 0.000
Tl 0.500 0.500 0.500

Calculated values
The formation energy comes out at -0.277 eV per atom. The value obtained for the density is 7.59 Mg/m³. As for the space group: No. 225. As for the calculated total energy: -127.70 eV per cell.